[1]
Crystalline BaO at its relaxed geometry, computed with PBE.

```
BaO
1.0
3.849 0.000 0.000
-1.925 3.334 0.000
0.000 0.000 6.695
Ba O
2 2
Direct
0.333 0.667 0.250
0.667 0.333 0.750
0.000 0.000 0.000
0.000 0.000 0.500
```

## Properties
The space group is P6_3/mmc, No. 194. Its mass density is 5927 kg/m³.


[2]
Crystalline K2LiH2Se2O6 at its relaxed geometry, computed with PBE.

```
K2LiH2Se2O6
1.0
5.236 0.000 0.000
-1.774 6.651 0.000
-0.896 -3.440 6.226
K Li H Se O
2 1 2 2 6
Direct
0.000 0.000 0.000
0.306 0.586 0.653
0.119 0.946 0.517
0.432 0.746 0.141
0.742 0.725 0.510
0.635 0.129 0.430
0.718 0.459 0.063
0.408 0.478 0.111
0.461 0.900 0.143
0.504 0.982 0.553
0.748 0.514 0.855
0.919 0.735 0.581
0.965 0.136 0.440
```

## Properties
The space group is P1, No. 1. The relative energy among the computed polymorphs is 0.19 eV/f.u. Its mass density is 2612 kg/m³.


[3]
Crystalline CuBr2 at its relaxed geometry, computed with PBE.

```
CuBr2
1.0
3.846 -1.746 0.000
3.846 1.746 0.000
-3.389 0.000 6.194
Cu Br
1 2
Direct
0.000 0.000 0.000
0.491 0.491 0.758
0.509 0.509 0.242
```

## Properties
The space group is C2/m, No. 12. Its mass density is 4458 kg/m³.


[4]
Crystalline Na2Sc2Ta6Si7S5O48 at its relaxed geometry, computed with PBE.

```
Na2Sc2Ta6Si7S5O48
1.0
8.882 0.000 0.000
-0.004 15.364 0.000
-0.003 -0.005 22.966
Na Sc Ta Si S O
6 6 18 21 15 144
Direct
0.000 0.000 0.000
0.001 0.005 0.495
0.488 0.504 0.000
0.491 0.499 0.496
0.492 0.169 0.657
0.993 0.669 0.160
0.013 0.670 0.018
0.477 0.170 0.516
0.499 0.504 0.642
0.506 0.169 0.815
0.976 0.667 0.310
0.992 0.003 0.143
0.000 0.669 0.806
0.013 0.338 0.472
0.479 0.839 0.974
0.490 0.170 0.306
0.494 0.839 0.186
0.494 0.848 0.471
0.495 0.841 0.684
0.501 0.171 0.021
0.505 0.498 0.853
0.506 0.503 0.138
0.513 0.502 0.350
0.983 0.998 0.853
0.987 0.997 0.351
0.992 0.671 0.518
0.992 0.998 0.636
0.996 0.349 0.973
0.998 0.344 0.185
0.999 0.344 0.682
0.137 0.811 0.913
0.139 0.195 0.580
0.142 0.529 0.912
0.145 0.483 0.578
0.211 0.834 0.579
0.281 0.337 0.080
0.346 0.982 0.081
0.347 0.030 0.411
0.352 0.694 0.080
0.358 0.315 0.412
0.634 0.026 0.914
0.634 0.984 0.579
0.640 0.358 0.244
0.640 0.649 0.245
0.643 0.311 0.914
0.706 0.005 0.244
0.784 0.504 0.745
0.849 0.811 0.413
0.851 0.858 0.745
0.854 0.485 0.079
0.854 0.526 0.413
0.138 0.148 0.246
0.140 0.859 0.246
0.206 0.171 0.913
0.211 0.505 0.245
0.281 0.005 0.745
0.284 0.671 0.413
0.351 0.358 0.746
0.352 0.648 0.746
0.638 0.695 0.578
0.708 0.671 0.912
0.710 0.337 0.579
0.780 0.837 0.079
0.783 0.171 0.412
0.853 0.148 0.745
0.854 0.195 0.079
0.054 0.778 0.970
0.057 0.238 0.523
0.061 0.098 0.592
0.063 0.577 0.567
0.064 0.436 0.636
0.065 0.574 0.854
0.070 0.236 0.238
0.070 0.431 0.920
0.071 0.107 0.298
0.073 0.900 0.194
0.073 0.914 0.899
0.078 0.772 0.254
0.096 0.256 0.638
0.102 0.751 0.568
0.104 0.753 0.855
0.105 0.419 0.523
0.106 0.246 0.923
0.107 0.922 0.589
0.108 0.092 0.904
0.112 0.424 0.237
0.112 0.916 0.299
0.113 0.580 0.251
0.119 0.095 0.194
0.121 0.584 0.969
0.166 0.015 0.398
0.167 0.993 0.085
0.171 0.348 0.023
0.172 0.321 0.137
0.172 0.324 0.421
0.173 0.687 0.077
0.183 0.352 0.739
0.186 0.017 0.693
0.187 0.656 0.466
0.187 0.659 0.755
0.188 0.991 0.798
0.196 0.687 0.361
0.295 0.186 0.860
0.300 0.153 0.965
0.301 0.488 0.298
0.303 0.515 0.193
0.304 0.159 0.255
0.306 0.854 0.240
0.317 0.186 0.578
0.317 0.822 0.637
0.319 0.850 0.523
0.320 0.824 0.921
0.323 0.515 0.897
0.324 0.492 0.586
0.370 0.083 0.470
0.372 0.595 0.694
0.377 0.414 0.799
0.377 0.924 0.737
0.380 0.081 0.751
0.380 0.592 0.407
0.384 0.422 0.089
0.384 0.747 0.425
0.384 0.920 0.023
0.386 0.252 0.067
0.387 0.253 0.355
0.392 0.757 0.136
0.414 0.271 0.753
0.416 0.415 0.400
0.417 0.399 0.694
0.420 0.607 0.798
0.420 0.736 0.738
0.420 0.932 0.420
0.426 0.074 0.354
0.427 0.076 0.066
0.427 0.935 0.136
0.428 0.597 0.089
0.433 0.739 0.023
0.434 0.277 0.470
0.559 0.602 0.302
0.560 0.268 0.970
0.561 0.406 0.189
0.562 0.743 0.234
0.564 0.065 0.856
0.565 0.930 0.636
0.567 0.264 0.258
0.568 0.411 0.904
0.569 0.080 0.576
0.570 0.735 0.527
0.572 0.607 0.585
0.578 0.927 0.927
0.599 0.584 0.190
0.601 0.089 0.260
0.602 0.919 0.236
0.604 0.593 0.901
0.608 0.090 0.970
0.609 0.919 0.523
0.610 0.748 0.919
0.611 0.421 0.302
0.611 0.748 0.632
0.612 0.259 0.855
0.615 0.416 0.586
0.618 0.259 0.576
0.667 0.518 0.407
0.669 0.847 0.734
0.670 0.487 0.086
0.670 0.823 0.427
0.671 0.490 0.802
0.679 0.520 0.689
0.685 0.826 0.133
0.686 0.187 0.072
0.686 0.851 0.026
0.688 0.156 0.750
0.691 0.184 0.360
0.697 0.151 0.464
0.793 0.651 0.964
0.801 0.684 0.859
0.804 0.351 0.527
0.804 0.687 0.572
0.808 0.326 0.633
0.814 0.021 0.189
0.819 0.991 0.302
0.820 0.657 0.248
0.820 0.988 0.589
0.822 0.323 0.926
0.822 0.346 0.233
0.823 0.019 0.904
0.873 0.759 0.075
0.876 0.916 0.085
0.879 0.248 0.132
0.879 0.759 0.355
0.881 0.248 0.420
0.882 0.924 0.802
0.883 0.092 0.693
0.883 0.420 0.023
0.883 0.589 0.470
0.887 0.093 0.402
0.888 0.416 0.736
0.890 0.587 0.759
0.914 0.428 0.428
0.918 0.107 0.085
0.920 0.235 0.026
0.921 0.235 0.737
0.922 0.108 0.798
0.922 0.579 0.075
0.923 0.912 0.405
0.924 0.765 0.758
0.926 0.431 0.136
0.928 0.910 0.691
0.929 0.769 0.471
0.930 0.564 0.357
```

## Properties
The space group is P1, No. 1. Its mass density is 3730 kg/m³.


[5]
Crystalline Li2Ti3SnO8 at its relaxed geometry, computed with PBE.

```
Li2Ti3SnO8
1.0
5.990 0.000 0.000
-2.995 5.188 0.000
0.000 0.000 10.034
Li Ti Sn O
4 6 2 16
Direct
0.000 0.000 0.000
0.000 0.000 0.500
0.333 0.667 0.403
0.667 0.333 0.903
0.170 0.339 0.722
0.170 0.830 0.722
0.339 0.170 0.222
0.661 0.830 0.722
0.830 0.170 0.222
0.830 0.661 0.222
0.333 0.667 0.998
0.667 0.333 0.498
0.000 0.000 0.318
0.000 0.000 0.818
0.034 0.517 0.842
0.159 0.318 0.108
0.159 0.841 0.108
0.318 0.159 0.608
0.333 0.667 0.613
0.483 0.517 0.842
0.483 0.966 0.842
0.517 0.034 0.342
0.517 0.483 0.342
0.667 0.333 0.113
0.682 0.841 0.108
0.841 0.159 0.608
0.841 0.682 0.608
0.966 0.483 0.342
```

## Properties
The space group is P6_3mc, No. 186. The relative energy among the computed polymorphs is 0.54 eV/f.u. Its mass density is 4305 kg/m³.


[6]
Crystalline UTiO3 at its relaxed geometry, computed with PBE.

```
UTiO3
1.0
3.923 0.000 0.000
0.000 3.923 0.000
0.000 0.000 3.923
U Ti O
1 1 3
Direct
0.000 0.000 0.000
0.500 0.500 0.500
0.000 0.500 0.500
0.500 0.000 0.500
0.500 0.500 0.000
```

## Properties
The space group is Pm-3m, No. 221. Its mass density is 9186 kg/m³.


[7]
Crystalline BaNaH6Ir at its relaxed geometry, computed with PBE.

```
BaNaH6Ir
1.0
0.000 3.923 3.923
3.923 0.000 3.923
3.923 3.923 0.000
Ba Na H Ir
1 1 6 1
Direct
0.000 0.000 0.000
0.500 0.500 0.500
0.035 0.035 0.465
0.035 0.465 0.035
0.035 0.465 0.465
0.465 0.035 0.035
0.465 0.035 0.465
0.465 0.465 0.035
0.250 0.250 0.250
```

## Properties
For the maximum piezoelectric response, the calculation gives 0.67 C/m2. The space group is F-43m, No. 216. Its mass density is 4933 kg/m³.


[8]
Crystalline KBa2Bi3O9 at its relaxed geometry, computed with PBE.

```
KBa2Bi3O9
1.0
6.188 0.000 0.000
-3.094 5.359 0.000
0.000 0.000 7.581
K Ba Bi O
1 2 3 9
Direct
0.000 0.000 0.000
0.333 0.667 0.668
0.667 0.333 0.332
0.000 0.000 0.500
0.333 0.667 0.164
0.667 0.333 0.836
0.000 0.500 0.000
0.171 0.342 0.345
0.171 0.829 0.345
0.342 0.171 0.655
0.500 0.000 0.000
0.500 0.500 0.000
0.658 0.829 0.345
0.829 0.171 0.655
0.829 0.658 0.655
```

## Properties
The space group is P-3m1, No. 164. Its mass density is 7165 kg/m³.


[9]
Crystalline Dy3Mn3Ga2Si at its relaxed geometry, computed with PBE.

```
Dy3Mn3Ga2Si
1.0
6.973 0.000 0.000
-3.487 6.039 0.000
0.000 0.000 4.149
Dy Mn Ga Si
3 3 2 1
Direct
0.004 0.422 0.000
0.418 0.996 0.000
0.578 0.582 0.000
0.012 0.770 0.500
0.230 0.241 0.500
0.759 0.988 0.500
0.000 0.000 0.000
0.667 0.333 0.500
0.333 0.667 0.500
```

## Properties
The space group is P-6, No. 174. Its mass density is 7792 kg/m³.


[10]
Crystalline BaCu4S3 at its relaxed geometry, computed with PBE.

```
BaCu4S3
1.0
1.981 -7.210 0.000
1.981 7.210 0.000
0.000 0.000 10.208
Ba Cu S
2 8 6
Direct
0.246 0.754 0.750
0.754 0.246 0.250
0.003 0.997 0.127
0.003 0.997 0.373
0.406 0.594 0.022
0.406 0.594 0.478
0.594 0.406 0.522
0.594 0.406 0.978
0.997 0.003 0.627
0.997 0.003 0.873
0.151 0.849 0.051
0.151 0.849 0.449
0.442 0.558 0.250
0.558 0.442 0.750
0.849 0.151 0.551
0.849 0.151 0.949
```

## Properties
The space group is Cmcm, No. 63. The relative energy among the computed polymorphs is 0.00 eV/f.u. Its mass density is 5556 kg/m³.


[11]
Crystalline MgTe4Mo3WS4 at its relaxed geometry, computed with PBE.

```
MgTe4Mo3WS4
1.0
2.919 -1.686 0.000
2.919 1.686 0.000
-0.078 0.000 42.162
Mg Te Mo W S
1 4 3 1 4
Direct
0.000 0.000 0.000
0.001 0.001 0.232
0.002 0.002 0.322
0.667 0.667 0.669
0.669 0.669 0.758
0.000 0.000 0.095
0.002 0.002 0.713
0.668 0.668 0.277
0.668 0.668 0.897
0.001 0.001 0.862
0.002 0.002 0.933
0.667 0.667 0.059
0.667 0.667 0.130
```

## Properties
The space group is Cm, No. 8. The relative energy among the computed polymorphs is 0.02 eV/f.u. Its mass density is 4540 kg/m³.


[12]
Crystalline MgSO5 at its relaxed geometry, computed with PBE.

```
MgSO5
1.0
3.461 -3.879 0.000
3.461 3.879 0.000
-3.041 0.000 6.988
Mg S O
2 2 10
Direct
0.000 0.500 0.000
0.500 0.000 0.500
0.091 0.909 0.750
0.909 0.091 0.250
0.171 0.211 0.844
0.171 0.769 0.895
0.211 0.171 0.344
0.231 0.829 0.605
0.351 0.649 0.250
0.649 0.351 0.750
0.769 0.171 0.395
0.789 0.829 0.656
0.829 0.231 0.105
0.829 0.789 0.156
```

## Properties
The space group is C2/c, No. 15. Its mass density is 2414 kg/m³.


[13]
Crystalline TiCo at its relaxed geometry, computed with PBE.

```
TiCo
1.0
2.978 0.000 0.000
0.000 2.978 0.000
0.000 0.000 2.978
Ti Co
1 1
Direct
0.000 0.000 0.000
0.500 0.500 0.500
```

## Properties
The space group is Pm-3m, No. 221. Its mass density is 6714 kg/m³.


no.,formation energy (meV per atom)
1,-2798
2,-1509
3,-664
4,-2882
5,-2909
6,-3106
7,-513
8,-2017
9,-336
10,-824
11,-574
12,-1771
13,-401